No. 1
A relaxed structure of V9Sb7O32, computed with PBE+U.

Geometry as extended XYZ:
```
48
Lattice="4.668 0.000 0.000 0.002 7.808 0.000 0.032 3.303 14.981" Properties=species:S:1:pos:R:3 pbc="T T T"
V 0.000 0.000 0.000
V 0.046 8.338 11.284
V 0.058 3.057 9.422
V 2.340 8.464 14.055
V 2.327 5.418 4.660
V 2.375 5.693 10.321
V 2.362 2.647 0.926
V 4.644 8.054 5.559
V 4.656 2.773 3.696
Sb 0.017 5.555 7.490
Sb 0.042 5.857 13.143
Sb 2.320 7.969 2.807
Sb 2.348 2.887 6.484
Sb 2.354 8.224 8.497
Sb 2.382 3.142 12.174
Sb 4.660 5.254 1.837
O 0.895 6.243 5.837
O 0.912 6.543 11.440
O 0.896 5.995 0.218
O 0.914 9.025 9.600
O 0.920 1.037 3.939
O 0.946 4.034 13.286
O 0.926 3.480 2.121
O 0.954 3.762 7.673
O 1.388 9.179 12.331
O 1.405 3.587 4.871
O 1.409 6.160 2.992
O 1.440 8.902 6.778
O 1.458 6.683 14.245
O 1.450 6.427 8.626
O 1.449 0.841 1.148
O 1.482 3.864 10.531
O 3.220 7.247 4.450
O 3.253 10.270 13.833
O 3.252 4.684 6.355
O 3.244 4.428 0.736
O 3.262 2.209 8.203
O 3.293 4.951 11.989
O 3.297 7.524 10.110
O 3.314 1.932 2.650
O 3.748 7.349 7.308
O 3.776 7.631 12.860
O 3.756 7.077 1.695
O 3.782 10.074 11.042
O 3.788 2.086 5.380
O 3.806 5.116 14.763
O 3.790 4.568 3.540
O 3.807 4.868 9.144
```

Summary:
space group: P-1 (2)
volume: 546 Å³ per cell
ρ: 5.544 Mg/m³
energy of formation: -2262 meV per atom
uncorrected energy: -340.3 eV for the cell shown

***

No. 2
A relaxed structure of Li7Mn5O12, computed with PBE+U.

Geometry as extended XYZ:
```
24
Lattice="2.986 0.000 0.000 -0.137 8.209 0.000 -0.538 -4.099 9.025" Properties=species:S:1:pos:R:3 pbc="T T T"
Li 0.000 0.000 0.000
Li -0.069 4.105 0.000
Li -0.155 -0.010 2.899
Li 1.266 6.314 1.497
Li 1.155 2.055 4.513
Li 1.045 -2.204 7.529
Li 2.466 4.121 6.126
Mn -0.238 4.119 2.955
Mn 0.924 2.141 7.571
Mn 1.224 -2.050 4.513
Mn 1.387 1.969 1.454
Mn 2.548 -0.008 6.070
O -0.573 2.065 8.825
O -0.137 2.113 2.832
O -0.193 6.104 3.029
O 0.866 0.107 7.487
O 1.037 4.170 4.425
O 1.372 0.147 1.534
O 0.939 3.963 7.491
O 1.273 -0.060 4.601
O 1.444 4.003 1.538
O 2.504 -1.994 5.996
O 2.448 1.998 6.194
O 2.884 2.045 0.200
```

Summary:
space group: P-1 (2)
energy above the lowest structure with this stoichiometry: 39 meV per atom
volume: 221 Å³ per cell
ρ: 3.867 Mg/m³
energy of formation: -2118 meV per atom
uncorrected energy: -152.8 eV for the cell shown

***

No. 3
A relaxed structure of MoP4O12, computed with PBE+U.

Geometry as extended XYZ:
```
34
Lattice="7.635 -3.705 0.000 7.635 3.705 0.000 -5.042 0.000 8.175" Properties=species:S:1:pos:R:3 pbc="T T T"
Mo 3.853 2.640 6.131
Mo 6.374 -2.640 2.044
P 3.836 2.438 2.675
P 1.307 0.494 7.103
P 8.913 2.438 1.412
P 3.828 -0.494 3.015
P 6.399 0.494 5.160
P 1.315 -2.438 6.763
P 8.920 -0.494 1.072
P 6.392 -2.438 5.500
O -2.507 0.507 5.801
O 3.304 2.607 4.076
O 0.014 -0.507 1.714
O -0.186 0.826 6.581
O 2.241 1.448 6.344
O 4.061 0.922 2.273
O 9.444 2.607 0.011
O 2.335 -0.826 2.494
O 6.314 0.466 0.394
O 5.465 1.448 5.918
O 1.540 -0.922 6.361
O 3.793 -0.466 4.482
O 6.434 0.466 3.693
O 8.687 0.922 1.814
O 4.762 -1.448 2.257
O 3.913 -0.466 7.780
O 7.893 0.826 5.681
O 0.783 -2.607 8.164
O 6.166 -0.922 5.902
O 7.986 -1.448 1.830
O 10.414 -0.826 1.594
O 10.213 0.507 6.461
O 6.923 -2.607 4.098
O 12.734 -0.507 2.374
```

Summary:
space group: C2/c (15)
energy above the lowest structure with this stoichiometry: 23 meV per atom
volume: 463 Å³ per cell
ρ: 2.957 Mg/m³
energy of formation: -2446 meV per atom
uncorrected energy: -244.0 eV for the cell shown

***

No. 4
A relaxed structure of LiFe6O4F8, computed with PBE+U.

Geometry as extended XYZ:
```
19
Lattice="5.797 0.000 0.000 1.979 5.470 0.000 2.856 2.014 7.052" Properties=species:S:1:pos:R:3 pbc="T T T"
Li 0.000 0.000 0.000
Fe 2.459 3.619 3.492
Fe 5.359 5.982 4.637
Fe 4.175 5.014 1.303
Fe 6.442 2.455 5.763
Fe 5.152 1.728 2.283
Fe 6.666 2.784 0.061
O 0.944 1.162 1.188
O 3.575 1.959 3.422
O 5.158 3.275 1.139
O 9.668 6.325 5.844
F 2.216 3.844 1.303
F 4.212 4.886 3.418
F 5.438 4.246 5.871
F 6.586 6.882 6.062
F 4.021 0.601 0.900
F 7.090 5.349 3.616
F 6.398 2.539 3.679
F 8.356 3.647 5.720
```

Summary:
space group: P1 (1)
energy above the lowest structure with this stoichiometry: 0 meV per atom
volume: 224 Å³ per cell
ρ: 4.143 Mg/m³
energy of formation: -2217 meV per atom
uncorrected energy: -110.0 eV for the cell shown

***

No. 5
A relaxed structure of FeBiO3, computed with PBE+U.

Geometry as extended XYZ:
```
10
Lattice="2.790 -2.788 0.000 2.790 2.788 0.000 0.000 0.000 7.892" Properties=species:S:1:pos:R:3 pbc="T T T"
Fe 2.790 2.773 5.919
Fe 2.790 -2.773 1.973
Bi 2.790 0.000 0.000
Bi 2.790 0.000 3.946
O 0.000 0.000 0.000
O 0.000 0.000 3.946
O 1.405 1.361 5.919
O 1.405 -1.361 1.973
O 4.175 1.361 5.919
O 4.175 -1.361 1.973
```

Summary:
space group: Cmcm (63)
volume: 123 Å³ per cell
ρ: 8.461 Mg/m³
energy of formation: -1419 meV per atom
uncorrected energy: -60.0 eV for the cell shown

***

No. 6
A relaxed structure of CoSbP2O8, computed with PBE+U.

Geometry as extended XYZ:
```
48
Lattice="6.068 0.000 0.000 0.005 10.147 0.000 0.001 4.832 10.179" Properties=species:S:1:pos:R:3 pbc="T T T"
Co 1.518 2.804 2.438
Co 1.521 7.916 2.084
Co 4.553 7.063 8.095
Co 4.557 12.175 7.741
Sb 1.517 4.676 7.311
Sb 1.522 9.708 7.377
Sb 4.552 5.271 2.802
Sb 4.557 10.304 2.869
P 1.520 6.972 9.289
P 1.518 5.575 4.087
P 1.523 11.854 9.191
P 1.522 10.614 4.125
P 4.552 4.365 6.054
P 4.552 3.126 0.989
P 4.556 9.405 6.092
P 4.555 8.007 0.891
O 0.262 6.228 3.305
O 0.302 6.271 8.602
O 0.313 11.440 3.567
O 0.341 11.095 8.373
O 1.518 2.027 0.610
O 1.519 4.072 3.963
O 1.522 6.086 5.516
O 1.521 8.525 8.955
O 1.521 6.682 0.477
O 1.519 9.153 3.748
O 1.522 10.790 5.709
O 1.522 13.349 8.922
O 2.703 11.095 8.372
O 2.735 6.269 8.600
O 2.733 11.435 3.562
O 2.774 6.228 3.305
O 3.300 8.751 6.875
O 3.341 3.544 6.618
O 3.339 8.710 1.579
O 3.371 3.884 1.808
O 4.553 1.630 1.258
O 4.552 4.189 4.470
O 4.556 5.827 6.431
O 4.553 8.297 9.702
O 4.553 6.454 1.225
O 4.552 8.893 4.664
O 4.556 10.907 6.217
O 4.556 12.952 9.569
O 5.733 3.884 1.806
O 5.761 3.539 6.612
O 5.772 8.708 1.578
O 5.812 8.751 6.874
```

Summary:
space group: P-1 (2)
energy above the lowest structure with this stoichiometry: 37 meV per atom
volume: 627 Å³ per cell
ρ: 3.928 Mg/m³
energy of formation: -2200 meV per atom
uncorrected energy: -323.7 eV for the cell shown

***

Which formula does entry 1 have?
V9Sb7O32

***

The lowest uncorrected energy belongs to which entry?
V9Sb7O32

***

What is the uncorrected energy in the first record?
-340.3 eV for the cell shown

***

What is the uncorrected energy in the fourth record?
-110.0 eV for the cell shown